Compound: Li3Fe3P4O16
Source: Materials Project
Functional: PBE with a Hubbard U
Structure: relaxed

Calculated values
* DFT total energy: -6.67 eV/atom
* space group: P1 (1)
* relative energy among the computed polymorphs: 0.176 eV per atom
* mass density: 3.06 g cm⁻³

Unit cell a=7.6757 b=8.0230 c=10.0578 alpha=90.49 beta=94.87 gamma=89.72
Closest atoms and distances in Å follow each position.
Fractional positions:
Li: 0.1124 0.3585 0.7952  5 O 1.93-2.14
Li: 0.9056 0.6336 0.2076  3 O 1.87-1.99
Li: 0.5924 0.1339 0.5424  3 O 1.87-2.00
Li: 0.4064 0.8641 0.4551  3 O 1.86-2.01
Li: 0.3917 0.8593 0.9548  5 O 1.92-2.14
Li: 0.0943 0.3625 0.2962  4 O 1.88-2.04
Fe: 0.8988 0.6406 0.7030  5 O 1.91-2.08
Fe: 0.6041 0.1442 0.0535  5 O 1.89-1.99
Fe: 0.4914 0.5081 0.0018  6 O 1.93-2.15
Fe: 0.4786 0.4915 0.4976  5 O 1.94-2.05
Fe: 0.0185 0.9901 0.2522  5 O 1.89-2.06
Fe: 0.0120 0.0146 0.7463  5 O 1.94-2.12
P: 0.2039 0.1985 0.0209  4 O 1.54-1.56
P: 0.3013 0.6956 0.7310  4 O 1.55-1.56
P: 0.2981 0.6855 0.2330  4 O 1.50-1.58
P: 0.6974 0.3051 0.7652  4 O 1.54-1.59
P: 0.6972 0.3134 0.2730  4 O 1.49-1.61
P: 0.7961 0.8054 0.9879  4 O 1.54-1.57
P: 0.1993 0.1882 0.5141  4 O 1.50-1.58
P: 0.8062 0.8157 0.4771  4 O 1.49-1.61
O: 0.2416 0.8716 0.7741  1 P 1.55
O: 0.8745 0.7988 0.8483  1 P 1.57
O: 0.8478 0.4297 0.2809  1 P 1.49
O: 0.9022 0.8075 0.3489  1 P 1.54
O: 0.9469 0.8574 0.6002  1 P 1.61
O: 0.9451 0.8577 0.0912  1 P 1.54
O: 0.0625 0.1430 0.9089  1 P 1.56
O: 0.0519 0.1294 0.4051  1 P 1.58
O: 0.1095 0.2012 0.6471  1 P 1.56
O: 0.1410 0.5762 0.7207  1 P 1.56
O: 0.1168 0.1887 0.1534  1 P 1.54
O: 0.1466 0.5681 0.2208  1 P 1.50
O: 0.3911 0.6925 0.0996  1 P 1.57
O: 0.2631 0.3746 0.9790  1 P 1.56
O: 0.2495 0.3663 0.4711  1 P 1.56
O: 0.2467 0.8677 0.2728  1 P 1.57
O: 0.7257 0.6334 0.0264  1 P 1.55
O: 0.3855 0.6913 0.5966  1 P 1.55
O: 0.4397 0.6385 0.8426  1 P 1.55
O: 0.3643 0.0785 0.0274  1 P 1.56
O: 0.8505 0.4313 0.7797  1 P 1.55
O: 0.4474 0.6326 0.3419  1 P 1.58
O: 0.5527 0.3619 0.6600  1 P 1.54
O: 0.6155 0.3047 0.9047  1 P 1.59
O: 0.5548 0.3493 0.1490  1 P 1.61
O: 0.6454 0.9359 0.9736  1 P 1.55
O: 0.6009 0.3049 0.4000  1 P 1.53
O: 0.6515 0.9301 0.4667  1 P 1.49
O: 0.7634 0.1316 0.7267  1 P 1.54
O: 0.7576 0.6353 0.5280  1 P 1.60
O: 0.7498 0.1319 0.2187  1 P 1.61
O: 0.3527 0.0702 0.5280  1 P 1.50